No. 1
The following is a PBE calculation of LiZn2Ir after structural relaxation, from the Materials Project. Values from VASP.

**Space-group type**: No. 225

Cell and atoms, written as Quantum ESPRESSO input:
```
&SYSTEM
  ibrav = 0, nat = 16, ntyp = 3
/
ATOMIC_SPECIES
Li 6.94 Li.upf
Zn 65.41 Zn.upf
Ir 192.22 Ir.upf
CELL_PARAMETERS angstrom
6.054 0.000 0.000
0.000 6.054 0.000
0.000 0.000 6.054
ATOMIC_POSITIONS angstrom
Li 0.000 0.000 0.000
Li 0.000 3.027 3.027
Li 3.027 0.000 3.027
Li 3.027 3.027 0.000
Zn 1.514 1.514 1.514
Zn 1.514 1.514 4.541
Zn 1.514 4.541 1.514
Zn 1.514 4.541 4.541
Zn 4.541 1.514 1.514
Zn 4.541 1.514 4.541
Zn 4.541 4.541 1.514
Zn 4.541 4.541 4.541
Ir 0.000 0.000 3.027
Ir 0.000 3.027 0.000
Ir 3.027 0.000 0.000
Ir 3.027 3.027 3.027
```


No. 2
The following is a PBE calculation of Lu3Ir after structural relaxation, from the Materials Project. Values from VASP.

**Space-group type**: No. 62

Cell and atoms, written as Quantum ESPRESSO input:
```
&SYSTEM
  ibrav = 0, nat = 16, ntyp = 2
/
ATOMIC_SPECIES
Lu 174.97 Lu.upf
Ir 192.22 Ir.upf
CELL_PARAMETERS angstrom
7.161 0.000 0.000
0.000 9.031 0.000
0.000 0.000 6.235
ATOMIC_POSITIONS angstrom
Lu 0.251 2.258 0.825
Lu 1.265 0.562 4.184
Lu 1.265 3.954 4.184
Lu 2.315 5.077 1.066
Lu 2.315 8.469 1.066
Lu 3.330 6.773 3.943
Lu 3.831 2.258 2.292
Lu 4.846 0.562 5.169
Lu 4.846 3.954 5.169
Lu 5.896 5.077 2.051
Lu 5.896 8.469 2.051
Lu 6.911 6.773 5.410
Ir 0.842 6.773 2.834
Ir 2.739 2.258 5.952
Ir 4.422 6.773 0.283
Ir 6.320 2.258 3.401
```


No. 3
The following is a PBE calculation of LuIr2 after structural relaxation, from the Materials Project. Values from VASP.

**Space-group type**: No. 227

Cell and atoms, written as Quantum ESPRESSO input:
```
&SYSTEM
  ibrav = 0, nat = 6, ntyp = 2
/
ATOMIC_SPECIES
Lu 174.97 Lu.upf
Ir 192.22 Ir.upf
CELL_PARAMETERS angstrom
0.000 3.759 3.759
3.759 0.000 3.759
3.759 3.759 0.000
ATOMIC_POSITIONS angstrom
Lu 0.940 0.940 0.940
Lu 6.578 6.578 6.578
Ir 3.759 1.879 1.879
Ir 1.879 3.759 1.879
Ir 1.879 1.879 3.759
Ir 3.759 3.759 3.759
```


No. 4
The following is a PBE calculation of Lu5Ir2 after structural relaxation, from the Materials Project. Values from VASP.

**Space-group type**: No. 15

Cell and atoms, written as Quantum ESPRESSO input:
```
&SYSTEM
  ibrav = 0, nat = 14, ntyp = 2
/
ATOMIC_SPECIES
Lu 174.97 Lu.upf
Ir 192.22 Ir.upf
CELL_PARAMETERS angstrom
7.632 -3.195 0.000
7.632 3.195 0.000
-0.877 0.000 7.057
ATOMIC_POSITIONS angstrom
Lu 6.974 2.738 5.293
Lu 3.095 0.425 2.244
Lu 2.656 -0.425 5.773
Lu 6.173 0.776 0.565
Lu 8.651 0.776 2.963
Lu 5.735 -0.776 4.094
Lu 8.213 -0.776 6.492
Lu 11.730 0.425 1.284
Lu 11.291 -0.425 4.813
Lu 7.412 -2.738 1.764
Ir 5.594 1.801 3.015
Ir 9.231 1.801 0.514
Ir 5.155 -1.801 6.543
Ir 8.792 -1.801 4.043
```


No. 5
The following is a PBE calculation of LuIr after structural relaxation, from the Materials Project. Values from VASP.

**Space-group type**: No. 221

Cell and atoms, written as Quantum ESPRESSO input:
```
&SYSTEM
  ibrav = 0, nat = 2, ntyp = 2
/
ATOMIC_SPECIES
Lu 174.97 Lu.upf
Ir 192.22 Ir.upf
CELL_PARAMETERS angstrom
3.356 0.000 0.000
0.000 3.356 0.000
0.000 0.000 3.356
ATOMIC_POSITIONS angstrom
Lu 0.000 0.000 0.000
Ir 1.678 1.678 1.678
```


No. 6
The following is a PBE calculation of Sr2LuIrO6 after structural relaxation, from the Materials Project. Values from VASP.

**Space-group type**: No. 14

Cell and atoms, written as Quantum ESPRESSO input:
```
&SYSTEM
  ibrav = 0, nat = 20, ntyp = 4
/
ATOMIC_SPECIES
Sr 87.62 Sr.upf
Lu 174.97 Lu.upf
Ir 192.22 Ir.upf
O 16.00 O.upf
CELL_PARAMETERS angstrom
5.779 0.000 0.000
0.000 5.795 0.000
-5.749 0.000 8.190
ATOMIC_POSITIONS angstrom
Sr -0.020 0.153 2.045
Sr -2.894 2.744 6.141
Sr 2.924 3.050 2.050
Sr 0.049 5.642 6.145
Lu 2.889 0.000 0.000
Lu 0.015 2.897 4.095
Ir -2.875 0.000 4.095
Ir 0.000 2.897 0.000
O -4.558 1.327 7.918
O -1.683 1.570 3.823
O -4.188 4.102 7.937
O -1.313 4.590 3.842
O -2.518 0.073 6.052
O 0.356 2.824 1.957
O -0.327 2.970 6.233
O 2.548 5.722 2.138
O 1.343 1.204 4.348
O 4.217 1.693 0.253
O 1.713 4.224 4.368
O 4.587 4.467 0.273
```


no.,energy of formation (eV/atom),raw total energy (eV per atom)
1,-0.35,-3.669
2,-0.66,-6.257
3,-0.85,-8.247
4,-0.74,-6.498
5,-1.01,-7.692
6,-2.83,-7.058